SrBrF | r2SCAN | relaxed

a = 4.2239 Å, b = 4.2239 Å, c = 7.3816 Å
α = 90.00°, β = 90.00°, γ = 90.00°
Space group P4/nmm (No. 129, origin choice 2)
Asymmetric unit:
1 Sr 0.2500 0.2500 0.1849 [2 per cell]
2 Br 0.2500 0.2500 0.6490 [2 per cell]
3 F 0.2500 0.7500 0.0000 [2 per cell]

Properties
Energy relative to the elements   -3.368 eV/atom

---

FeBr2 | r2SCAN | relaxed

a = 3.7172 Å, b = 3.7689 Å, c = 6.5034 Å
α = 89.67°, β = 89.93°, γ = 60.56°
Space group P-1 (No. 2)
Asymmetric unit:
1 Fe 0.0000 0.0000 0.0000 [1 per cell]
2 Br 0.3337 0.3323 0.7717 [2 per cell]

Properties
Energy relative to the elements   -0.719 eV/atom